GGA-PBE Pr2CuGe2O8, optimized geometry; space-group type = Cm, No. 8; calculated total energy = -7.0414 eV/atom
1.0
7.774 4.989 0.000
-7.774 4.989 0.000
0.000 2.671 4.492
Pr Cu Ge O
4 2 4 16
direct
0.461 0.702 0.182
0.702 0.461 0.182
0.199 0.957 0.676
0.957 0.199 0.676
0.660 0.074 0.379
0.074 0.660 0.379
0.837 0.837 0.376
0.532 0.111 0.919
0.111 0.532 0.919
0.333 0.333 0.973
0.379 0.912 0.926
0.912 0.379 0.926
0.749 0.935 0.577
0.935 0.749 0.577
0.502 0.502 0.006
0.726 0.244 0.559
0.244 0.726 0.559
0.426 0.242 0.761
0.242 0.426 0.761
0.669 0.669 0.338
0.170 0.170 0.340
0.506 0.159 0.238
0.159 0.506 0.238
0.999 0.999 0.001
0.653 0.001 0.074
0.001 0.653 0.074